*i*
Below is crystalline NbFePb2O6 at its relaxed geometry, with properties calculated at the PBE+U level.

a b c (Å): 4.0521 4.0521 8.1237
angles (deg): 90.00 90.00 90.00
Space group P4/mmm (No. 123)
Symmetry-distinct sites (fractional):
1 Nb 0.0000 0.0000 0.0000 x1
2 Fe 0.0000 0.0000 0.5000 x1
3 Pb 0.5000 0.5000 0.2823 x2
4 O 0.0000 0.0000 0.2488 x2
5 O 0.0000 0.5000 0.0000 x2
6 O 0.0000 0.5000 0.5000 x2

---

*ii*
Below is crystalline NbFePb2O6 at its relaxed geometry, with properties calculated at the PBE+U level.

a b c (Å): 8.1002 8.1002 8.1002
angles (deg): 90.00 90.00 90.00
Space group Fm-3m (No. 225)
Symmetry-distinct sites (fractional):
1 Nb 0.0000 0.0000 0.0000 x4
2 Fe 0.0000 0.0000 0.5000 x4
3 Pb 0.2500 0.2500 0.2500 x8
4 O 0.0000 0.0000 0.2492 x24

---

The data favor *ii*; the next most stable structure lies 5 meV per atom above it.

---

*i*
Below is crystalline Fe14Ni11O32 at its relaxed geometry, with properties calculated at the PBE+U level.

a b c (Å): 5.9261 6.1121 19.7819
angles (deg): 89.34 81.39 61.27
Space group P1 (No. 1)
Symmetry-distinct sites (fractional):
1 Fe 0.0000 0.0000 0.0000 x1
2 Fe 0.9998 0.4869 0.0026 x1
3 Fe 0.0121 0.8028 0.6673 x1
4 Fe 0.4442 0.5174 0.0925 x1
5 Fe 0.4727 0.9579 0.5909 x1
6 Fe 0.4794 0.2753 0.7591 x1
7 Fe 0.5054 0.2348 0.2467 x1
8 Fe 0.5119 0.7367 0.2452 x1
9 Fe 0.5199 0.0407 0.4137 x1
10 Fe 0.5456 0.4813 0.9088 x1
11 Fe 0.7393 0.8791 0.1263 x1
12 Fe 0.9327 0.7896 0.8455 x1
13 Fe 0.9836 0.2030 0.3231 x1
14 Fe 0.9962 0.4997 0.4995 x1
15 Ni 0.0104 0.7308 0.2426 x1
16 Ni 0.2414 0.1287 0.8770 x1
17 Ni 0.2406 0.3847 0.6247 x1
18 Ni 0.2458 0.6300 0.3733 x1
19 Ni 0.4883 0.7654 0.7527 x1
20 Ni 0.4933 0.9974 0.9997 x1
21 Ni 0.4960 0.5018 0.4995 x1
22 Ni 0.7447 0.3765 0.6265 x1
23 Ni 0.7518 0.6164 0.3738 x1
24 Ni 0.9834 0.2720 0.7565 x1
25 Ni 0.9975 0.0007 0.4985 x1
26 O 0.1056 0.6906 0.0622 x1
27 O 0.1192 0.7014 0.5678 x1
28 O 0.1241 0.4345 0.8131 x1
29 O 0.1241 0.9524 0.8103 x1
30 O 0.1254 0.4332 0.3096 x1
31 O 0.1264 0.1780 0.0486 x1
32 O 0.1332 0.1787 0.5641 x1
33 O 0.1692 0.8638 0.3000 x1
34 O 0.3378 0.3737 0.4415 x1
35 O 0.3532 0.3161 0.9407 x1
36 O 0.3548 0.8278 0.9391 x1
37 O 0.3641 0.5665 0.6879 x1
38 O 0.3647 0.0817 0.6876 x1
39 O 0.3777 0.8089 0.4362 x1
40 O 0.3895 0.5410 0.1913 x1
41 O 0.4071 0.0268 0.1965 x1
42 O 0.6038 0.9589 0.8099 x1
43 O 0.6074 0.4550 0.8099 x1
44 O 0.6104 0.9367 0.3166 x1
45 O 0.6176 0.1856 0.5627 x1
46 O 0.6267 0.4394 0.3076 x1
47 O 0.6353 0.1634 0.0624 x1
48 O 0.6382 0.6861 0.0623 x1
49 O 0.6545 0.6300 0.5570 x1
50 O 0.8288 0.1340 0.6973 x1
51 O 0.8399 0.6079 0.1925 x1
52 O 0.8516 0.0338 0.1948 x1
53 O 0.8652 0.8163 0.4346 x1
54 O 0.8689 0.8111 0.9448 x1
55 O 0.8698 0.5760 0.6869 x1
56 O 0.8738 0.3106 0.9405 x1
57 O 0.8816 0.2931 0.4249 x1

---

*ii*
Below is crystalline Fe14Ni11O32 at its relaxed geometry, with properties calculated at the PBE+U level.

a b c (Å): 5.9261 6.1121 19.7819
angles (deg): 89.34 81.39 61.27
Space group P1 (No. 1)
Symmetry-distinct sites (fractional):
1 Fe 0.0000 0.0000 0.0000 x1
2 Fe 0.0028 0.5131 0.9974 x1
3 Fe 0.0900 0.3027 0.8429 x1
4 Fe 0.1090 0.5538 0.4111 x1
5 Fe 0.2615 0.7479 0.2441 x1
6 Fe 0.2696 0.2498 0.2425 x1
7 Fe 0.3477 0.3158 0.6646 x1
8 Fe 0.3545 0.0305 0.0899 x1
9 Fe 0.4995 0.0128 0.4969 x1
10 Fe 0.6158 0.3922 0.1236 x1
11 Fe 0.6395 0.9944 0.9062 x1
12 Fe 0.6633 0.7161 0.3204 x1
13 Fe 0.7231 0.7884 0.7565 x1
14 Fe 0.8846 0.4710 0.5883 x1
15 Ni 0.1210 0.8895 0.6238 x1
16 Ni 0.2297 0.7851 0.7539 x1
17 Ni 0.3672 0.6418 0.8743 x1
18 Ni 0.3808 0.1295 0.3712 x1
19 Ni 0.4964 0.5105 0.9971 x1
20 Ni 0.5018 0.5138 0.4958 x1
21 Ni 0.6187 0.8978 0.6220 x1
22 Ni 0.7385 0.2785 0.7500 x1
23 Ni 0.7707 0.2439 0.2399 x1
24 Ni 0.8753 0.1431 0.3707 x1
25 Ni 0.9993 0.0149 0.4969 x1
26 O 0.0462 0.2037 0.0596 x1
27 O 0.0577 0.6987 0.5600 x1
28 O 0.0806 0.6911 0.0460 x1
29 O 0.1003 0.1431 0.5544 x1
30 O 0.1343 0.6471 0.6946 x1
31 O 0.1858 0.0890 0.6843 x1
32 O 0.2010 0.0541 0.1886 x1
33 O 0.2134 0.5399 0.1939 x1
34 O 0.2966 0.4498 0.3140 x1
35 O 0.3139 0.9476 0.8104 x1
36 O 0.3166 0.4655 0.8077 x1
37 O 0.3220 0.9525 0.3049 x1
38 O 0.4154 0.8292 0.9380 x1
39 O 0.4185 0.3409 0.9365 x1
40 O 0.4334 0.3294 0.4319 x1
41 O 0.4595 0.8062 0.4223 x1
42 O 0.5542 0.2145 0.5652 x1
43 O 0.5719 0.6917 0.5615 x1
44 O 0.5757 0.6764 0.0598 x1
45 O 0.5788 0.1992 0.0596 x1
46 O 0.6501 0.1209 0.1899 x1
47 O 0.6597 0.5468 0.1921 x1
48 O 0.6790 0.0796 0.6853 x1
49 O 0.6799 0.5948 0.6850 x1
50 O 0.7967 0.4720 0.8073 x1
51 O 0.8003 0.9680 0.8072 x1
52 O 0.8185 0.9463 0.3070 x1
53 O 0.8720 0.3768 0.2974 x1
54 O 0.8992 0.8868 0.4388 x1
55 O 0.9270 0.3242 0.9421 x1
56 O 0.9361 0.8236 0.9379 x1
57 O 0.9443 0.3220 0.4335 x1

---

The data favor *i*; the next most stable structure lies 262 meV per atom above it.